ZrFeP3O12 | PBE with a Hubbard U | relaxed

Unit cell a=8.8502 b=8.8342 c=12.3706 alpha=90.00 beta=90.00 gamma=90.00
Closest atoms and distances in Å follow each position.
Element x y z (fractional)
Zr: 0.0259 0.0000 0.0000  6 O 2.09-2.13
Zr: 0.4741 0.5000 0.5000  6 O 2.09-2.13
Zr: 0.5259 0.5000 0.0000  6 O 2.09-2.13
Zr: 0.9741 0.0000 0.5000  6 O 2.09-2.13
Fe: 0.0323 0.4988 0.7366  6 O 1.95-1.97
Fe: 0.4677 0.9988 0.2366  6 O 1.95-1.97
Fe: 0.5323 0.0012 0.7366  6 O 1.95-1.97
Fe: 0.9677 0.5012 0.2366  6 O 1.95-1.97
P: 0.0904 0.3857 0.4714  4 O 1.54-1.55
P: 0.1344 0.8335 0.2577  4 O 1.54-1.55
P: 0.2411 0.2795 0.1379  4 O 1.54-1.55
P: 0.2589 0.7795 0.6379  4 O 1.54-1.55
P: 0.3656 0.3335 0.7577  4 O 1.54-1.55
P: 0.4096 0.8857 0.9714  4 O 1.54-1.55
P: 0.5904 0.1143 0.4714  4 O 1.54-1.55
P: 0.6344 0.6665 0.2577  4 O 1.54-1.55
P: 0.7411 0.2205 0.1379  4 O 1.54-1.55
P: 0.7589 0.7205 0.6379  4 O 1.54-1.55
P: 0.8656 0.1665 0.7577  4 O 1.54-1.55
P: 0.9096 0.6143 0.9714  4 O 1.54-1.55
O: 0.0247 0.5430 0.8927  1 P 1.54
O: 0.0391 0.4512 0.5812  1 P 1.54
O: 0.0490 0.9091 0.3530  1 P 1.55
O: 0.0751 0.2111 0.4684  1 P 1.55
O: 0.0777 0.8996 0.1499  1 P 1.54
O: 0.1192 0.6604 0.2604  1 P 1.54
O: 0.1359 0.3581 0.2194  1 P 1.54
O: 0.1472 0.1925 0.0528  1 P 1.55
O: 0.1574 0.8954 0.5794  1 P 1.54
O: 0.1690 0.6713 0.7115  1 P 1.54
O: 0.1936 0.3547 0.7683  1 P 1.54
O: 0.2442 0.9300 0.9469  1 P 1.55
O: 0.2558 0.4300 0.4469  1 P 1.55
O: 0.3064 0.8547 0.2683  1 P 1.54
O: 0.3310 0.1713 0.2115  1 P 1.54
O: 0.3426 0.3954 0.0794  1 P 1.54
O: 0.3528 0.6925 0.5528  1 P 1.55
O: 0.3641 0.8581 0.7194  1 P 1.54
O: 0.3808 0.1604 0.7604  1 P 1.54
O: 0.4223 0.3996 0.6499  1 P 1.54
O: 0.4249 0.7111 0.9684  1 P 1.55
O: 0.4510 0.4091 0.8530  1 P 1.55
O: 0.4609 0.9512 0.0812  1 P 1.54
O: 0.4753 0.0430 0.3927  1 P 1.54
O: 0.5247 0.9570 0.8927  1 P 1.54
O: 0.5391 0.0488 0.5812  1 P 1.54
O: 0.5490 0.5909 0.3530  1 P 1.55
O: 0.5751 0.2889 0.4684  1 P 1.55
O: 0.5777 0.6004 0.1499  1 P 1.54
O: 0.6192 0.8396 0.2604  1 P 1.54
O: 0.6359 0.1419 0.2194  1 P 1.54
O: 0.6472 0.3075 0.0528  1 P 1.55
O: 0.6574 0.6046 0.5794  1 P 1.54
O: 0.6690 0.8287 0.7115  1 P 1.54
O: 0.6936 0.1453 0.7683  1 P 1.54
O: 0.7442 0.5700 0.9469  1 P 1.55
O: 0.7558 0.0700 0.4469  1 P 1.55
O: 0.8064 0.6453 0.2683  1 P 1.54
O: 0.8310 0.3287 0.2115  1 P 1.54
O: 0.8426 0.1046 0.0794  1 P 1.54
O: 0.8528 0.8075 0.5528  1 P 1.55
O: 0.8641 0.6419 0.7194  1 P 1.54
O: 0.8808 0.3396 0.7604  1 P 1.54
O: 0.9223 0.1004 0.6499  1 P 1.54
O: 0.9249 0.7889 0.9684  1 P 1.55
O: 0.9510 0.0909 0.8530  1 P 1.55
O: 0.9609 0.5488 0.0812  1 P 1.54
O: 0.9753 0.4570 0.3927  1 P 1.54

Properties
Symmetry = Pna2_1, No. 33
Electronic total energy = -7.399 eV per atom
DFT formation energy = -2568 meV/atom


FePbO3 | PBE with a Hubbard U | relaxed

Unit cell a=3.9475 b=3.9475 c=3.9475 alpha=90.00 beta=90.00 gamma=90.00
Closest atoms and distances in Å follow each position.
Element x y z (fractional)
Fe: 0.0000 0.0000 0.0000  6 O 1.97
Pb: 0.5000 0.5000 0.5000  12 O 2.79
O: 0.0000 0.0000 0.5000  2 Fe 1.97
O: 0.0000 0.5000 0.0000  2 Fe 1.97
O: 0.5000 0.0000 0.0000  2 Fe 1.97

Properties
Symmetry = Pm-3m, No. 221
Electronic total energy = -5.899 eV per atom
DFT formation energy = -1357 meV/atom


Fe12PbO19 | PBE with a Hubbard U | relaxed

Unit cell a=6.0080 b=6.0080 c=23.3552 alpha=90.00 beta=90.00 gamma=120.00
Closest atoms and distances in Å follow each position.
Element x y z (fractional)
Fe: 0.0000 0.0000 0.0000  6 O 2.03
Fe: 0.0000 0.0000 0.2500  3 O 1.91
Fe: 0.0000 0.0000 0.5000  6 O 2.03
Fe: 0.0000 0.0000 0.7500  3 O 1.91
Fe: 0.1681 0.3362 0.1092  6 O 1.96-2.14
Fe: 0.1681 0.3362 0.3908  6 O 1.96-2.14
Fe: 0.1681 0.8319 0.1092  6 O 1.96-2.14
Fe: 0.1681 0.8319 0.3908  6 O 1.96-2.14
Fe: 0.3333 0.6667 0.5279  4 O 1.94
Fe: 0.3333 0.6667 0.6909  6 O 2.02-2.09
Fe: 0.3333 0.6667 0.8091  6 O 2.02-2.09
Fe: 0.3333 0.6667 0.9721  4 O 1.94
Fe: 0.3362 0.1681 0.6092  6 O 1.96-2.14
Fe: 0.3362 0.1681 0.8908  6 O 1.96-2.14
Fe: 0.6638 0.8319 0.1092  6 O 1.96-2.14
Fe: 0.6638 0.8319 0.3908  6 O 1.96-2.14
Fe: 0.6667 0.3333 0.0279  4 O 1.94
Fe: 0.6667 0.3333 0.1909  6 O 2.02-2.09
Fe: 0.6667 0.3333 0.3091  6 O 2.02-2.09
Fe: 0.6667 0.3333 0.4721  4 O 1.94
Fe: 0.8319 0.1681 0.6092  6 O 1.96-2.14
Fe: 0.8319 0.1681 0.8908  6 O 1.96-2.14
Fe: 0.8319 0.6638 0.6092  6 O 1.96-2.14
Fe: 0.8319 0.6638 0.8908  6 O 1.96-2.14
Pb: 0.3333 0.6667 0.2500  12 O 2.87-3.01
Pb: 0.6667 0.3333 0.7500  12 O 2.87-3.01
O: 0.0000 0.0000 0.1521  3 Fe 2.02
O: 0.0000 0.0000 0.3479  3 Fe 2.02
O: 0.0000 0.0000 0.6521  3 Fe 2.02
O: 0.0000 0.0000 0.8479  3 Fe 2.02
O: 0.0099 0.5049 0.1506  3 Fe 1.96-2.02
O: 0.0099 0.5049 0.3494  3 Fe 1.96-2.02
O: 0.1553 0.3106 0.5529  4 Fe 1.94-2.14
O: 0.1553 0.3106 0.9471  4 Fe 1.94-2.14
O: 0.1553 0.8447 0.5529  4 Fe 1.94-2.14
O: 0.1553 0.8447 0.9471  4 Fe 1.94-2.14
O: 0.1831 0.3662 0.7500  3 Fe 1.91-2.09
O: 0.1831 0.8169 0.7500  3 Fe 1.91-2.09
O: 0.3106 0.1553 0.0529  4 Fe 1.94-2.14
O: 0.3106 0.1553 0.4471  4 Fe 1.94-2.14
O: 0.3333 0.6667 0.0552  4 Fe 1.94-2.13
O: 0.3333 0.6667 0.4448  4 Fe 1.94-2.13
O: 0.3662 0.1831 0.2500  3 Fe 1.91-2.09
O: 0.4951 0.5049 0.1506  3 Fe 1.96-2.02
O: 0.4951 0.5049 0.3494  3 Fe 1.96-2.02
O: 0.4951 0.9901 0.1506  3 Fe 1.96-2.02
O: 0.4951 0.9901 0.3494  3 Fe 1.96-2.02
O: 0.5049 0.0099 0.6506  3 Fe 1.96-2.02
O: 0.5049 0.0099 0.8494  3 Fe 1.96-2.02
O: 0.5049 0.4951 0.6506  3 Fe 1.96-2.02
O: 0.5049 0.4951 0.8494  3 Fe 1.96-2.02
O: 0.6338 0.8169 0.7500  3 Fe 1.91-2.09
O: 0.6667 0.3333 0.5552  4 Fe 1.94-2.13
O: 0.6667 0.3333 0.9448  4 Fe 1.94-2.13
O: 0.6894 0.8447 0.5529  4 Fe 1.94-2.14
O: 0.6894 0.8447 0.9471  4 Fe 1.94-2.14
O: 0.8169 0.1831 0.2500  3 Fe 1.91-2.09
O: 0.8169 0.6338 0.2500  3 Fe 1.91-2.09
O: 0.8447 0.1553 0.0529  4 Fe 1.94-2.14
O: 0.8447 0.1553 0.4471  4 Fe 1.94-2.14
O: 0.8447 0.6894 0.0529  4 Fe 1.94-2.14
O: 0.8447 0.6894 0.4471  4 Fe 1.94-2.14
O: 0.9901 0.4951 0.6506  3 Fe 1.96-2.02
O: 0.9901 0.4951 0.8494  3 Fe 1.96-2.02

Properties
Symmetry = P6_3/mmc, No. 194
Electronic total energy = -6.578 eV per atom
DFT formation energy = -1601 meV/atom


Fe12PbO19 | PBE with a Hubbard U | relaxed

Unit cell a=6.0177 b=6.0177 c=23.3001 alpha=90.00 beta=90.00 gamma=119.95
Closest atoms and distances in Å follow each position.
Element x y z (fractional)
Fe: 0.0000 0.0000 0.0000  6 O 2.04
Fe: 0.9996 0.0004 0.2500  3 O 1.91-1.92
Fe: 0.0000 0.0000 0.5000  6 O 2.04
Fe: 0.0004 0.9996 0.7500  3 O 1.91-1.92
Fe: 0.1676 0.3357 0.6097  6 O 1.95-2.14
Fe: 0.1676 0.3357 0.8903  6 O 1.95-2.14
Fe: 0.1678 0.8322 0.6097  6 O 1.96-2.14
Fe: 0.1678 0.8322 0.8903  6 O 1.96-2.14
Fe: 0.3333 0.6667 0.0279  4 O 1.93-1.95
Fe: 0.3333 0.6667 0.1909  6 O 2.02-2.08
Fe: 0.3333 0.6667 0.3091  6 O 2.02-2.08
Fe: 0.3333 0.6667 0.4721  4 O 1.93-1.95
Fe: 0.3357 0.1676 0.1097  6 O 1.95-2.14
Fe: 0.3357 0.1676 0.3903  6 O 1.95-2.14
Fe: 0.6643 0.8324 0.6097  6 O 1.95-2.14
Fe: 0.6643 0.8324 0.8903  6 O 1.95-2.14
Fe: 0.6667 0.3333 0.5279  4 O 1.93-1.95
Fe: 0.6667 0.3333 0.6909  6 O 2.02-2.08
Fe: 0.6667 0.3333 0.8091  6 O 2.02-2.08
Fe: 0.6667 0.3333 0.9721  4 O 1.93-1.95
Fe: 0.8322 0.1678 0.1097  6 O 1.96-2.14
Fe: 0.8322 0.1678 0.3903  6 O 1.96-2.14
Fe: 0.8324 0.6643 0.1097  6 O 1.95-2.14
Fe: 0.8324 0.6643 0.3903  6 O 1.95-2.14
Pb: 0.3368 0.6632 0.7500  12 O 2.83-3.06
Pb: 0.6632 0.3368 0.2500  12 O 2.83-3.06
O: 0.0001 0.9999 0.1529  3 Fe 2.02
O: 0.0001 0.9999 0.3471  3 Fe 2.02
O: 0.9999 0.0001 0.6529  3 Fe 2.02
O: 0.9999 0.0001 0.8471  3 Fe 2.02
O: 0.0119 0.5061 0.6511  3 Fe 1.95-2.02
O: 0.0119 0.5061 0.8489  3 Fe 1.95-2.02
O: 0.1554 0.3104 0.0534  4 Fe 1.95-2.14
O: 0.1554 0.3104 0.4466  4 Fe 1.95-2.14
O: 0.1551 0.8449 0.0535  4 Fe 1.95-2.14
O: 0.1551 0.8449 0.4465  4 Fe 1.95-2.14
O: 0.1835 0.8165 0.2500  3 Fe 1.92-2.08
O: 0.1859 0.3675 0.2500  3 Fe 1.91-2.08
O: 0.3104 0.1554 0.5534  4 Fe 1.95-2.14
O: 0.3104 0.1554 0.9466  4 Fe 1.95-2.14
O: 0.3332 0.6668 0.5551  4 Fe 1.93-2.14
O: 0.3332 0.6668 0.9449  4 Fe 1.93-2.14
O: 0.3675 0.1859 0.7500  3 Fe 1.91-2.08
O: 0.4939 0.5061 0.6511  3 Fe 1.96-2.03
O: 0.4939 0.5061 0.8489  3 Fe 1.96-2.03
O: 0.4939 0.9881 0.6511  3 Fe 1.95-2.02
O: 0.4939 0.9881 0.8489  3 Fe 1.95-2.02
O: 0.5061 0.0119 0.1511  3 Fe 1.95-2.02
O: 0.5061 0.0119 0.3489  3 Fe 1.95-2.02
O: 0.5061 0.4939 0.1511  3 Fe 1.96-2.03
O: 0.5061 0.4939 0.3489  3 Fe 1.96-2.03
O: 0.6325 0.8141 0.2500  3 Fe 1.91-2.08
O: 0.6668 0.3332 0.0551  4 Fe 1.93-2.14
O: 0.6668 0.3332 0.4449  4 Fe 1.93-2.14
O: 0.6896 0.8446 0.0534  4 Fe 1.95-2.14
O: 0.6896 0.8446 0.4466  4 Fe 1.95-2.14
O: 0.8141 0.6325 0.7500  3 Fe 1.91-2.08
O: 0.8165 0.1835 0.7500  3 Fe 1.92-2.08
O: 0.8449 0.1551 0.5535  4 Fe 1.95-2.14
O: 0.8449 0.1551 0.9465  4 Fe 1.95-2.14
O: 0.8446 0.6896 0.5534  4 Fe 1.95-2.14
O: 0.8446 0.6896 0.9466  4 Fe 1.95-2.14
O: 0.9881 0.4939 0.1511  3 Fe 1.95-2.02
O: 0.9881 0.4939 0.3489  3 Fe 1.95-2.02

Properties
Symmetry = Cmcm, No. 63
Electronic total energy = -6.577 eV per atom
DFT formation energy = -1601 meV/atom